Entry from the Materials Project: a geometry-optimized Co2P2O7 structure (meta-GGA r2SCAN).

E   -9.857 eV/atom
Energy above the lowest structure with this stoichiometry   8.4 meV per atom
Calculated volume   235.0 Å³/cell
Magnetic moment   0.00 μB per atom
ΔH_f (0 K)   -22.15 eV per formula unit

Unit cell a=5.2330 b=5.3107 c=8.9397 alpha=97.83 beta=98.24 gamma=103.83
Closest atoms and distances in Å follow each position.
Fractional coordinates of all 22 atoms:
Co  0.6901  0.3123  0.7543  5 O 2.02-2.21
P  0.2204  0.2152  0.9532  4 O 1.52-1.56
O  0.3803  0.3755  0.6064  1 P 1.52
Co  0.3101  0.6878  0.2457  5 O 2.02-2.21
O  0.6162  0.9257  0.6387  1 P 1.52
O  0.0736  0.3737  0.3590  1 P 1.52
P  0.7797  0.7848  0.5468  4 O 1.52-1.56
O  0.3837  0.0746  0.3613  1 P 1.52
O  0.0000  0.9998  0.4999  2 P 1.56
P  0.2202  0.2152  0.4532  4 O 1.52-1.56
Co  0.6899  0.3123  0.2543  5 O 2.02-2.21
O  0.3840  0.0743  0.8615  1 P 1.52
O  0.6196  0.6244  0.8936  1 P 1.52
O  0.0740  0.3736  0.8587  1 P 1.52
Co  0.3100  0.6877  0.7457  5 O 2.02-2.21
O  0.6163  0.9255  0.1387  1 P 1.52
O  0.3804  0.3755  0.1064  1 P 1.52
P  0.7798  0.7849  0.0468  4 O 1.52-1.56
O  0.9261  0.6264  0.6412  1 P 1.52
O  0.6194  0.6244  0.3937  1 P 1.52
O  0.9264  0.6263  0.1410  1 P 1.52
O  0.9998  0.0001  0.9999  2 P 1.56